Entry 1:
MgW2O4 | PBE+U | relaxed

Geometry as POSCAR:
```
MgW2O4
1.0
-3.118 3.277 4.460
3.118 -3.277 4.460
3.118 3.277 -4.460
Mg W O
2 4 8
Cartesian
3.118 0.000 0.000
0.000 0.000 4.460
3.118 -1.638 3.124
0.000 4.915 1.336
-1.559 1.638 2.230
1.559 1.638 2.230
-1.480 1.638 4.411
0.000 3.126 2.364
1.480 1.638 4.411
0.000 0.151 2.364
3.118 3.126 2.096
3.118 0.151 2.096
1.639 1.638 0.049
4.598 1.638 0.049
```

Properties
ΔE to the lowest computed polymorph	197	meV per atom
SG	Imma
total magnetization	6.00	μB per formula unit
corrected total energy (MP2020 scheme)	-59.31	eV per formula unit
ΔE_f	-1714	meV per atom


Entry 2:
LiCoPO4 | PBE+U | relaxed

Geometry as POSCAR:
```
LiCoPO4
1.0
-0.772 -3.488 4.095
-6.642 3.055 1.351
-3.505 -5.322 -5.193
Li Co P O
4 4 4 16
Cartesian
-9.315 -3.737 0.331
-4.908 -0.376 0.418
-5.980 -5.244 -0.324
-1.573 -1.882 -0.236
-2.526 -2.012 2.969
-8.339 -3.500 -3.000
-3.696 -3.020 -1.715
-7.169 -2.493 1.684
-3.374 -4.160 1.027
-5.397 -4.774 -3.484
-5.477 -0.783 3.506
-7.501 -1.398 -1.005
-2.467 -5.089 0.184
-3.389 0.724 1.355
-7.438 -6.067 -1.586
-8.360 -0.254 -0.415
-3.554 -2.792 0.296
-5.294 -7.379 -0.333
-5.954 0.135 2.336
-7.694 -4.453 1.707
-2.748 -3.889 2.437
-5.113 -4.346 -2.004
-5.989 -2.238 3.232
-8.354 -2.696 -1.209
-4.745 -4.875 1.227
-1.535 -0.963 1.557
-9.568 -5.627 -0.323
-6.358 -1.715 0.008
```

Properties
ΔE to the lowest computed polymorph	87	meV per atom
SG	Pna2_1
total magnetization	0.00	μB per formula unit
corrected total energy (MP2020 scheme)	-50.47	eV per formula unit
ΔE_f	-2321	meV per atom


Entry 3:
ZnFe2O4 | PBE+U | relaxed

Geometry as POSCAR:
```
ZnFe2O4
1.0
-1.442 2.508 0.400
-2.939 -0.325 -8.555
-8.496 -5.332 2.799
Zn Fe O
4 8 16
Cartesian
-5.226 -2.133 -5.466
-6.979 -2.304 -0.053
-2.026 -0.893 -1.705
-10.113 -3.493 -3.889
-3.318 0.522 -4.566
-7.802 -3.505 -6.150
-4.385 -0.913 0.580
-8.815 -4.914 -0.969
-4.525 -2.183 -2.626
-7.634 -2.225 -2.906
-3.790 -0.948 -7.717
-8.351 -3.446 2.165
-1.543 0.877 -0.396
-10.587 -5.248 -5.263
-6.091 -1.212 -3.690
-6.059 -3.186 -1.866
-9.617 -2.869 -6.012
-2.565 -1.541 0.415
-8.724 -3.067 -1.559
-3.353 -1.305 -3.902
-2.112 0.953 -2.926
-10.021 -5.333 -2.687
-7.310 -1.537 -6.052
-4.868 -2.877 0.490
-7.566 -4.448 0.616
-4.614 0.023 -6.110
-4.387 -0.605 -1.356
-7.801 -3.817 -4.188
```

Properties
ΔE to the lowest computed polymorph	391	meV per atom
SG	Pm
total magnetization	0.50	μB per formula unit
corrected total energy (MP2020 scheme)	-47.47	eV per formula unit
ΔE_f	-1355	meV per atom


Entry 4:
Mn6O5F7 | PBE+U | relaxed

Geometry as POSCAR:
```
Mn6O5F7
1.0
4.722 0.000 0.000
0.167 5.725 0.000
0.282 0.074 15.590
Mn O F
12 10 14
Cartesian
4.683 0.973 9.135
0.454 4.896 11.700
4.814 0.983 14.352
0.162 0.913 3.973
4.879 4.955 6.574
4.580 4.779 1.314
2.562 1.948 6.415
2.490 2.001 1.213
2.740 2.062 11.745
2.669 3.711 14.225
2.761 3.774 8.971
2.604 3.770 3.892
3.919 0.705 10.899
3.838 0.678 5.664
3.593 0.663 0.402
3.917 5.102 8.205
3.891 5.128 3.116
3.687 2.238 13.430
3.564 2.276 8.095
3.367 3.449 0.322
1.709 3.582 12.530
1.584 2.191 4.735
3.994 5.105 13.396
3.932 3.555 10.729
3.736 3.534 5.580
3.712 2.323 2.937
1.431 2.251 15.198
1.631 2.290 10.017
1.419 3.575 7.269
1.395 3.521 2.137
1.286 0.725 12.734
1.209 0.795 7.522
1.552 5.098 9.905
1.398 5.078 15.135
1.246 0.725 2.187
1.402 5.044 4.968
```

Properties
ΔE to the lowest computed polymorph	36	meV per atom
SG	P1
total magnetization	25.00	μB per formula unit
corrected total energy (MP2020 scheme)	-136.40	eV per formula unit
ΔE_f	-2405	meV per atom


Entry 5:
SrEuHfCrO6 | PBE+U | relaxed

Geometry as POSCAR:
```
SrEuHfCrO6
1.0
-1.528 -1.842 -5.146
-4.128 -3.859 -0.522
-5.025 1.496 -2.173
Sr Eu Hf Cr O
1 1 1 1 6
Cartesian
-2.670 -1.051 -1.960
-8.011 -3.154 -5.881
-5.340 -2.103 -3.921
0.000 0.000 0.000
-3.395 -1.970 -4.546
-7.286 -2.235 -3.296
-5.959 -1.206 -5.655
-4.722 -2.999 -2.187
-5.502 -3.939 -4.812
-5.179 -0.266 -3.029
```

Properties
SG	F-43m
total magnetization	9.00	μB per formula unit
corrected total energy (MP2020 scheme)	-93.47	eV per formula unit
ΔE_f	-3223	meV per atom


Entry 6:
NaCuMoO5 | PBE+U | relaxed

Geometry as POSCAR:
```
NaCuMoO5
1.0
5.794 0.000 0.000
0.000 7.874 0.000
0.000 0.000 9.758
Na Cu Mo O
4 4 4 20
Cartesian
1.448 2.925 6.776
1.448 6.862 7.861
4.345 4.948 2.982
4.345 1.012 1.897
0.000 3.937 0.000
2.897 0.000 4.879
2.897 3.937 0.000
0.000 0.000 4.879
4.345 1.066 8.194
4.345 5.002 6.443
1.448 6.808 1.564
1.448 2.871 3.315
4.345 2.659 9.255
4.345 6.596 5.382
1.448 5.215 0.503
1.448 1.278 4.376
2.910 0.940 7.151
5.781 4.877 7.486
0.013 6.933 2.607
2.884 2.997 2.272
2.884 6.933 2.607
0.013 2.997 2.272
5.781 0.940 7.151
2.910 4.877 7.486
4.345 7.562 9.278
4.345 3.625 5.359
1.448 0.311 0.480
1.448 4.248 4.399
1.448 2.993 9.205
1.448 6.930 5.432
4.345 4.880 0.553
4.345 0.943 4.326
```

Properties
SG	Pnma
total magnetization	0.52	μB per formula unit
corrected total energy (MP2020 scheme)	-53.77	eV per formula unit
ΔE_f	-1596	meV per atom


Entry 7:
MgZn2W2O8 | PBE+U | relaxed

Geometry as POSCAR:
```
MgZn2W2O8
1.0
4.572 -0.478 -1.847
-1.522 4.423 -1.855
1.135 1.341 7.573
Mg Zn W O
1 2 2 8
Cartesian
1.753 3.798 1.558
0.750 2.551 -0.596
3.345 2.623 4.273
3.876 0.197 -0.424
0.375 5.170 4.437
3.512 3.400 2.426
2.169 1.002 -0.888
2.034 4.169 -0.411
5.198 1.740 4.867
0.497 2.215 1.434
2.388 0.859 4.420
2.056 4.208 4.897
-0.986 3.703 -0.988
```

Properties
ΔE to the lowest computed polymorph	35	meV per atom
SG	C2
total magnetization	2.00	μB per formula unit
corrected total energy (MP2020 scheme)	-96.55	eV per formula unit
ΔE_f	-2072	meV per atom


Entry 8:
FeBP2O11 | PBE+U | relaxed

Geometry as POSCAR:
```
FeBP2O11
1.0
4.647 -8.049 0.000
4.647 8.049 0.000
0.000 0.000 15.536
Fe B P O
6 6 12 66
Cartesian
6.134 3.541 3.884
3.160 3.541 9.063
3.160 -3.541 11.652
6.134 -3.541 1.295
4.647 0.966 14.241
4.647 -0.966 6.473
2.127 1.228 3.884
7.167 1.228 9.063
7.167 -1.228 11.652
2.127 -1.228 1.295
4.647 5.593 14.241
4.647 -5.593 6.473
2.764 1.419 1.240
6.683 1.684 6.418
6.530 -1.419 9.008
2.764 -1.419 3.939
4.494 4.945 11.597
2.611 -1.684 14.187
6.683 -1.684 14.296
6.530 1.419 11.707
4.800 -4.945 3.829
2.611 1.684 6.528
4.494 -4.945 9.118
4.800 4.945 1.350
2.076 2.683 0.760
5.933 0.456 5.938
7.218 -2.683 8.528
2.076 -2.683 4.419
5.932 4.910 11.117
3.361 -0.456 13.706
5.933 -0.456 14.777
7.218 2.683 12.187
3.362 -4.910 3.349
3.361 0.456 7.009
5.932 -4.910 9.598
3.362 4.910 1.830
1.864 0.183 0.930
8.203 1.523 6.108
7.430 -0.183 8.698
1.864 -0.183 4.249
3.873 6.343 11.287
1.091 -1.523 13.876
8.203 -1.523 14.606
7.430 0.183 12.017
5.421 -6.343 3.519
1.091 1.523 6.838
3.873 -6.343 9.428
5.421 6.343 1.660
2.769 -1.936 0.175
4.939 -4.683 5.353
6.525 1.936 7.943
2.769 1.936 5.004
6.233 -1.430 10.532
4.355 4.683 13.122
4.939 4.683 15.361
6.525 -1.936 12.772
3.061 1.430 2.764
4.355 -4.683 7.593
6.233 1.430 10.183
3.061 -1.430 2.415
4.159 1.146 0.576
6.222 3.028 5.755
5.135 -1.146 8.344
4.159 -1.146 4.603
3.560 3.874 10.934
3.072 -3.028 13.523
6.222 -3.028 14.960
5.135 1.146 12.371
5.734 -3.874 3.165
3.072 3.028 7.192
3.560 -3.874 9.781
5.734 3.874 2.013
3.454 -2.152 6.834
4.784 -3.981 12.013
5.840 2.152 14.602
3.454 2.152 13.881
5.703 -1.915 1.655
4.510 3.981 4.245
4.784 3.981 8.702
5.840 -2.152 6.113
3.591 1.915 9.423
4.510 -3.981 0.934
5.703 1.915 3.523
3.591 -1.915 11.291
8.064 -0.710 3.884
1.230 -0.710 9.063
1.230 0.710 11.652
8.064 0.710 1.295
4.647 -6.629 14.241
4.647 6.629 6.473
```

Properties
SG	P6_122
total magnetization	6.97	μB per formula unit
corrected total energy (MP2020 scheme)	-104.37	eV per formula unit
ΔE_f	-1597	meV per atom


Entry 9:
Li6MnFeP2C2O14 | PBE+U | relaxed

Geometry as POSCAR:
```
Li6MnFeP2C2O14
1.0
0.504 5.019 6.501
-0.503 -5.020 6.502
8.099 -4.842 0.000
Li Mn Fe P C O
12 2 2 4 4 28
Cartesian
0.792 -0.967 8.127
0.791 -0.967 1.627
7.291 -3.883 11.378
7.290 -3.883 4.877
1.969 -3.597 6.608
2.473 1.423 6.609
1.970 -3.597 9.645
1.970 -3.597 3.145
6.131 -1.240 9.889
6.130 -1.239 3.387
5.625 -6.259 6.364
6.129 -1.239 6.364
5.304 -3.805 8.127
5.304 -3.806 1.626
2.752 -1.005 4.877
2.750 -1.006 11.378
3.380 -1.252 8.127
3.379 -1.252 1.626
4.708 -3.601 11.378
4.708 -3.602 4.876
0.671 3.340 4.877
0.167 -1.679 4.876
7.956 -3.154 8.128
7.452 -8.174 8.128
0.493 -0.430 11.378
0.493 -0.430 4.876
0.598 -2.952 8.127
1.101 2.067 8.128
1.647 2.462 4.877
1.144 -2.557 4.877
3.761 0.911 4.876
3.258 -4.109 4.876
3.362 -2.815 8.127
3.361 -2.814 1.626
4.701 -2.035 11.378
4.700 -2.035 4.876
4.840 -0.774 8.126
4.337 -5.793 8.127
6.994 -2.263 8.128
6.490 -7.283 8.128
7.027 -6.912 4.877
7.530 -1.892 4.877
7.625 -4.401 8.126
7.625 -4.400 1.626
2.559 -0.715 6.911
2.056 -5.735 6.911
2.560 -0.715 9.343
2.560 -0.715 2.842
6.047 0.884 6.080
5.544 -4.136 6.080
5.544 -4.136 10.174
5.544 -4.136 3.672
```

Properties
piezoelectric modulus e_max	0.17	C/m2
total magnetization	9.00	μB per formula unit
corrected total energy (MP2020 scheme)	-189.52	eV per formula unit
ΔE_f	-2380	meV per atom


Entry 10:
Li2TiFeO4 | PBE+U | relaxed

Geometry as POSCAR:
```
Li2TiFeO4
1.0
-2.581 -5.453 -0.274
-3.976 1.595 7.325
-4.701 2.325 -2.995
Li Ti Fe O
8 4 4 16
Cartesian
-7.974 0.346 0.518
-6.324 2.716 5.787
-4.819 0.393 4.674
-6.457 -1.957 -0.643
-7.187 1.544 3.137
-4.144 -3.137 0.831
-2.030 0.747 3.644
-7.656 -0.011 5.672
-4.005 1.577 7.303
-5.595 -0.779 2.033
-6.108 -2.353 4.516
-5.135 0.779 -0.485
-2.806 -0.431 0.993
-4.359 1.965 2.157
-8.449 -1.164 3.036
-9.963 1.167 4.176
-4.447 -1.587 5.311
-3.472 1.428 0.283
-3.962 -0.016 2.750
-9.559 -0.863 4.762
-7.324 -1.528 1.315
-5.633 0.870 6.554
-6.833 0.064 -1.304
-7.754 -3.053 3.793
-5.131 -2.595 2.754
-4.231 0.482 -2.245
-5.585 2.600 -1.199
-6.520 -0.492 3.785
-5.660 -4.174 5.246
-4.749 -1.086 0.221
-6.122 1.025 1.261
-7.042 -2.058 6.297
```

Properties
ΔE to the lowest computed polymorph	10	meV per atom
SG	P1
total magnetization	4.00	μB per formula unit
corrected total energy (MP2020 scheme)	-60.46	eV per formula unit
ΔE_f	-2560	meV per atom